Entry 1:
! Na42Ca8Ta16Si33S3O144 PBE relaxed; values from VASP
! * total energy: -1788.57 eV/f.u.
! * space group: P1
! * magnetic moment: 0.0 Bohr magnetons per cell
! * formation energy from the elements: -2.936 eV/atom
! * corrected total energy (MP2020 scheme): -0.282 Ha/atom
&SYSTEM
  ibrav = 0, nat = 246, ntyp = 6
/
ATOMIC_SPECIES
O 16.00 O.upf
Na 22.99 Na.upf
Si 28.09 Si.upf
Ca 40.08 Ca.upf
Ta 180.95 Ta.upf
S 32.06 S.upf
ATOMIC_POSITIONS crystal
O 0.577 0.183 0.409
Na 0.811 0.645 0.755
Si 0.650 0.294 0.747
Na 0.842 0.721 0.091
Na 0.317 0.979 0.255
O 0.650 0.469 0.471
O 0.081 0.470 0.973
Ca 0.999 0.997 0.646
O 0.019 0.810 0.689
Si 0.981 0.349 0.584
O 0.045 0.633 0.354
Na 0.167 0.684 0.673
Na 0.666 0.665 0.679
Si 0.017 0.363 0.917
O 0.250 0.158 0.529
O 0.318 0.137 0.142
O 0.432 0.498 0.141
O 0.925 0.505 0.026
O 0.408 0.021 0.080
O 0.409 0.844 0.911
O 0.408 0.797 0.578
O 0.603 0.027 0.304
O 0.599 0.191 0.078
O 0.508 0.795 0.687
O 0.653 0.829 0.970
Na 0.819 0.981 0.256
O 0.990 0.812 0.806
O 0.543 0.475 0.859
Si 0.192 0.345 0.082
Si 0.516 0.669 0.417
O 0.103 0.027 0.580
O 0.829 0.152 0.027
O 0.339 0.163 0.428
Si 0.815 0.661 0.918
O 0.893 0.984 0.688
Na 0.519 0.722 0.590
Si 0.666 0.967 0.916
O 0.933 0.500 0.141
Na 0.330 0.335 0.836
Na 0.516 0.314 0.089
O 0.839 0.514 0.929
O 0.239 0.625 0.577
O 0.601 0.988 0.198
Na 0.004 0.007 0.503
O 0.270 0.911 0.353
O 0.263 0.695 0.969
O 0.985 0.793 0.078
O 0.894 0.799 0.188
O 0.416 0.806 0.306
Si 0.482 0.618 0.080
Ta 0.164 0.665 0.517
O 0.578 0.972 0.910
Na 0.840 0.024 0.914
O 0.691 0.469 0.357
Ta 0.338 0.340 0.184
O 0.075 0.663 0.755
O 0.263 0.832 0.470
S 0.149 0.288 0.750
Na 0.506 0.000 0.505
Si 0.693 0.040 0.582
Si 0.352 0.699 0.247
Si 0.166 0.969 0.916
Ta 0.834 0.331 0.480
Ta 0.992 0.000 0.358
O 0.332 0.156 0.026
O 0.904 0.290 0.245
Na 0.341 0.721 0.090
Na 0.177 0.971 0.755
O 0.748 0.162 0.528
O 0.599 0.223 0.687
O 0.232 0.293 0.750
Si 0.998 0.293 0.247
O 0.933 0.368 0.644
O 0.514 0.220 0.189
O 0.584 0.470 0.973
Si 0.327 0.616 0.582
Ta 0.833 0.331 0.982
O 0.740 0.626 0.575
O 0.770 0.912 0.352
Ta 0.667 0.669 0.021
O 0.403 0.515 0.746
Si 0.826 0.037 0.083
O 0.407 0.974 0.412
O 0.491 0.182 0.577
O 0.153 0.471 0.472
O 0.746 0.337 0.430
O 0.732 0.172 0.250
O 0.258 0.843 0.753
O 0.747 0.343 0.026
Na 0.177 0.382 0.254
O 0.602 0.019 0.579
O 0.349 0.511 0.246
Na 0.505 0.998 0.006
Ta 0.994 0.989 0.856
Si 0.666 0.362 0.416
Si 0.999 0.702 0.747
O 0.250 0.363 0.143
Na 0.327 0.322 0.334
Na 0.004 0.636 0.261
S 0.149 0.010 0.251
O 0.819 0.138 0.143
Si 0.496 0.698 0.747
O 0.542 0.613 0.358
Si 0.326 0.038 0.082
S 0.648 0.010 0.252
Si 0.498 0.295 0.247
Si 0.317 0.665 0.915
O 0.242 0.851 0.075
O 0.331 0.508 0.526
O 0.105 0.028 0.304
Na 0.666 0.310 0.914
O 0.690 0.523 0.077
O 0.348 0.185 0.746
O 0.042 0.471 0.858
Na 0.677 0.977 0.755
Na 0.503 0.634 0.260
O 0.099 0.192 0.079
Na 0.342 0.962 0.589
O 0.908 0.022 0.079
O 0.908 0.799 0.579
O 0.834 0.512 0.525
O 0.766 0.697 0.973
O 0.915 0.805 0.307
Si 0.984 0.621 0.080
O 0.014 0.222 0.188
Si 0.692 0.344 0.082
O 0.751 0.361 0.142
Na 0.003 0.377 0.758
O 0.191 0.525 0.077
Ta 0.839 0.342 0.184
O 0.271 0.627 0.853
Ca 0.667 0.665 0.323
Si 0.483 0.346 0.579
O 0.760 0.675 0.252
Na 0.514 0.374 0.758
O 0.193 0.917 0.856
O 0.164 0.868 0.257
O 0.007 0.842 0.411
O 0.689 0.856 0.575
O 0.743 0.161 0.929
O 0.907 0.839 0.911
Ca 0.500 0.000 0.647
O 0.574 0.521 0.577
O 0.595 0.165 0.806
Ta 0.331 0.331 0.480
Na 0.344 0.024 0.916
Na 0.339 0.655 0.414
Ca 0.165 0.662 0.323
Si 0.853 0.006 0.747
O 0.419 0.323 0.929
O 0.249 0.342 0.028
O 0.073 0.524 0.577
O 0.082 0.691 0.471
Si 0.193 0.039 0.583
O 0.666 0.480 0.755
Ca 0.167 0.668 0.824
O 0.760 0.851 0.754
O 0.508 0.840 0.410
Na 0.832 0.333 0.832
O 0.742 0.850 0.077
Si 0.016 0.669 0.415
O 0.404 0.290 0.246
O 0.245 0.156 0.930
O 0.922 0.336 0.529
O 0.662 0.866 0.258
Na 0.166 0.659 0.172
Si 0.313 0.968 0.415
O 0.233 0.172 0.249
Na 0.487 0.661 0.914
O 0.581 0.691 0.473
O 0.244 0.333 0.431
O 0.073 0.483 0.254
Na 0.678 0.383 0.255
Na 0.837 0.324 0.338
O 0.433 0.364 0.640
Na 0.318 0.657 0.757
Si 0.828 0.615 0.581
Si 0.164 0.363 0.416
Na 0.012 0.010 0.007
O 0.834 0.158 0.429
O 0.917 0.023 0.806
O 0.419 0.514 0.429
O 0.572 0.622 0.077
Ca 0.666 0.668 0.821
O 0.395 0.800 0.188
O 0.415 0.026 0.805
Na 0.018 0.317 0.090
Ta 0.667 0.668 0.518
O 0.259 0.675 0.252
O 0.187 0.855 0.577
O 0.150 0.827 0.969
O 0.848 0.511 0.246
O 0.102 0.987 0.197
Si 0.813 0.969 0.415
Na 0.842 0.656 0.415
O 0.697 0.919 0.858
O 0.905 0.970 0.412
O 0.101 0.177 0.801
Ca 0.503 0.001 0.143
O 0.077 0.970 0.909
Ta 0.168 0.669 0.018
O 0.339 0.516 0.928
O 0.740 0.291 0.746
Na 0.643 0.317 0.592
O 0.855 0.190 0.747
Ta 0.340 0.336 0.684
O 0.389 0.982 0.686
O 0.573 0.485 0.254
O 0.817 0.498 0.641
Na 0.842 0.968 0.591
O 0.995 0.191 0.582
O 0.485 0.805 0.805
O 0.762 0.610 0.858
O 0.487 0.166 0.306
O 0.251 0.137 0.643
O 0.425 0.506 0.025
O 0.919 0.323 0.929
Ta 0.330 0.332 0.981
Na 0.667 0.659 0.172
O 0.195 0.474 0.358
Ca 0.003 0.001 0.144
Na 0.016 0.717 0.590
O 0.009 0.177 0.909
Si 0.350 0.003 0.746
O 0.762 0.829 0.469
Ta 0.493 0.997 0.356
O 0.424 0.341 0.525
O 0.920 0.515 0.428
Na 0.991 0.656 0.915
Ta 0.498 0.999 0.851
O 0.572 0.665 0.755
Si 0.516 0.365 0.918
O 0.513 0.183 0.910
O 0.078 0.180 0.408
O 0.485 0.792 0.079
O 0.752 0.135 0.642
Na 0.490 0.324 0.415
O 0.105 0.220 0.694
O 0.906 0.524 0.746
Na 0.143 0.320 0.582
O 0.073 0.623 0.077
O 0.317 0.496 0.641
Ta 0.833 0.333 0.688
O 0.987 0.161 0.304
Si 0.853 0.701 0.247
O 0.161 0.457 0.757
CELL_PARAMETERS angstrom
18.453 0.014 -0.060
-4.607 7.995 0.013
-0.078 -0.008 22.592

Entry 2:
! MgU8Se17 PBE relaxed; values from VASP
! * total energy: -181.35 eV/f.u.
! * space group: C2/m
! * formation energy from the elements: -1.462 eV/atom
! * corrected total energy (MP2020 scheme): -0.268 Ha/atom
&SYSTEM
  ibrav = 0, nat = 26, ntyp = 3
/
ATOMIC_SPECIES
U 238.03 U.upf
Se 78.96 Se.upf
Mg 24.30 Mg.upf
ATOMIC_POSITIONS crystal
U 0.320 0.320 0.011
Se 0.521 0.521 0.829
Se 0.479 0.479 0.171
U 0.818 0.303 0.300
Se 0.435 0.819 0.535
Se 0.565 0.181 0.465
U 0.680 0.680 0.989
U 0.303 0.818 0.300
Se 0.941 0.941 0.234
U 0.201 0.201 0.540
Se 0.000 0.000 0.500
Se 0.700 0.700 0.248
Se 0.671 0.056 0.964
Se 0.059 0.059 0.766
Se 0.944 0.329 0.036
Mg 0.000 0.000 0.000
Se 0.786 0.786 0.723
Se 0.329 0.944 0.036
Se 0.214 0.214 0.277
Se 0.181 0.565 0.465
Se 0.056 0.671 0.964
U 0.799 0.799 0.460
U 0.697 0.182 0.700
Se 0.300 0.300 0.752
U 0.182 0.697 0.700
Se 0.819 0.435 0.535
CELL_PARAMETERS angstrom
6.844 4.376 -1.451
6.844 -4.376 -1.451
0.006 0.000 -10.988

Entry 3:
! Sn3BrF5 PBE relaxed; values from VASP
! * total energy: -41.35 eV/f.u.
! * space group: P2_1/c
! * formation energy from the elements: -2.269 eV/atom
! * corrected total energy (MP2020 scheme): -0.178 Ha/atom
&SYSTEM
  ibrav = 0, nat = 36, ntyp = 3
/
ATOMIC_SPECIES
F 19.00 F.upf
Br 79.90 Br.upf
Sn 118.71 Sn.upf
ATOMIC_POSITIONS crystal
F 0.153 0.141 0.842
Br 0.624 0.135 0.377
Sn 0.602 0.459 0.602
Sn 0.875 0.981 0.656
Sn 0.157 0.448 0.632
F 0.273 0.586 0.895
F 0.489 0.625 0.876
F 0.011 0.625 0.376
Br 0.876 0.135 0.877
F 0.773 0.414 0.605
F 0.379 0.913 0.012
Sn 0.398 0.541 0.398
Sn 0.625 0.981 0.156
Sn 0.843 0.552 0.368
Sn 0.125 0.019 0.344
F 0.100 0.744 0.727
F 0.511 0.375 0.124
Sn 0.657 0.552 0.868
Br 0.376 0.865 0.623
Sn 0.343 0.448 0.132
F 0.847 0.859 0.158
F 0.621 0.087 0.988
F 0.600 0.256 0.773
F 0.879 0.087 0.488
F 0.653 0.859 0.658
Sn 0.375 0.019 0.844
Sn 0.102 0.541 0.898
F 0.400 0.744 0.227
F 0.121 0.913 0.512
F 0.900 0.256 0.273
F 0.727 0.414 0.105
Sn 0.898 0.459 0.102
Br 0.124 0.865 0.123
F 0.347 0.141 0.342
F 0.227 0.586 0.395
F 0.989 0.375 0.624
CELL_PARAMETERS angstrom
12.913 0.000 0.000
0.000 4.331 0.000
0.000 4.353 12.995

Entry 4:
! Na4LaGaSiP2O12 PBE relaxed; values from VASP
! * total energy: -138.76 eV/f.u.
! * space group: P1
! * magnetic moment: 0.0 Bohr magnetons per cell
! * formation energy from the elements: -2.768 eV/atom
! * corrected total energy (MP2020 scheme): -0.257 Ha/atom
&SYSTEM
  ibrav = 0, nat = 126, ntyp = 6
/
ATOMIC_SPECIES
O 16.00 O.upf
P 30.97 P.upf
Ga 69.72 Ga.upf
Na 22.99 Na.upf
La 138.91 La.upf
Si 28.09 Si.upf
ATOMIC_POSITIONS crystal
O 0.295 0.427 0.470
P 0.946 0.323 0.584
O 0.958 0.748 0.800
O 0.814 0.991 0.404
O 0.117 0.624 0.360
Ga 0.311 0.648 0.319
P 0.677 0.621 0.585
O 0.167 0.001 0.914
O 0.656 0.512 0.639
O 0.186 0.195 0.692
Na 0.384 0.015 0.743
P 0.331 0.361 0.413
O 0.459 0.347 0.140
La 0.339 0.677 0.813
O 0.135 0.720 0.474
O 0.575 0.867 0.470
O 0.177 0.966 0.198
O 0.313 0.881 0.976
La 0.670 0.337 0.994
Na 0.041 0.714 0.583
O 0.842 0.304 0.528
O 0.816 0.804 0.308
O 0.790 0.824 0.197
P 0.637 0.968 0.412
Si 0.022 0.667 0.414
O 0.865 0.352 0.639
O 0.990 0.171 0.312
Na 0.700 0.667 0.414
O 0.184 0.479 0.259
Na 0.669 0.964 0.589
O 0.354 0.895 0.857
Na 0.629 0.995 0.257
Na 0.293 0.974 0.086
O 0.142 0.669 0.740
Na 0.673 0.333 0.342
O 0.644 0.106 0.139
O 0.172 0.159 0.095
O 0.821 0.986 0.689
O 0.321 0.470 0.740
Na 0.326 0.664 0.172
Na 0.692 0.034 0.911
Na 0.026 0.327 0.093
Na 0.338 0.676 0.663
Na 0.004 0.996 0.499
O 0.190 0.006 0.309
O 0.850 0.344 0.917
La 0.329 0.672 0.512
Ga 0.007 0.001 0.648
Si 0.014 0.287 0.256
Ga 0.665 0.325 0.679
O 0.489 0.141 0.642
Na 0.987 0.360 0.745
O 0.037 0.203 0.195
Si 0.334 0.987 0.916
O 0.165 0.684 0.089
P 0.276 0.984 0.255
P 0.020 0.353 0.915
O 0.112 0.456 0.860
Ga 0.671 0.339 0.488
Na 0.638 0.632 0.740
Si 0.980 0.663 0.090
Na 0.333 0.298 0.917
O 0.124 0.478 0.582
Na 0.331 0.033 0.417
O 0.827 0.516 0.733
O 0.512 0.873 0.361
O 0.016 0.818 0.691
O 0.178 0.183 0.406
O 0.838 0.492 0.425
O 0.183 0.033 0.590
Na 0.005 0.995 0.003
O 0.000 0.178 0.914
O 0.699 0.541 0.528
O 0.849 0.310 0.256
O 0.519 0.638 0.583
Na 0.005 0.627 0.253
O 0.252 0.212 0.801
O 0.681 0.543 0.253
Si 0.375 0.055 0.585
O 0.119 0.435 0.972
P 0.311 0.299 0.741
O 0.998 0.830 0.404
Na 0.295 0.329 0.583
La 0.672 0.333 0.189
Na 0.685 0.703 0.087
O 0.817 0.825 0.914
Ga 0.997 0.993 0.349
O 0.526 0.845 0.737
O 0.320 0.474 0.087
O 0.452 0.141 0.254
O 0.495 0.353 0.417
Na 0.366 0.370 0.253
O 0.689 0.181 0.735
P 0.682 0.021 0.088
O 0.465 0.170 0.524
P 0.985 0.688 0.740
O 0.649 0.141 0.418
O 0.835 0.798 0.588
Na 0.963 0.297 0.411
O 0.415 0.296 0.030
O 0.541 0.648 0.861
O 0.797 0.046 0.804
O 0.488 0.323 0.735
P 0.706 0.722 0.254
O 0.561 0.677 0.973
O 0.534 0.842 0.086
Si 0.709 0.015 0.740
La 0.000 0.000 0.837
O 0.362 0.486 0.361
P 0.341 0.320 0.089
O 0.353 0.867 0.583
O 0.887 0.532 0.143
O 0.504 0.168 0.917
O 0.875 0.592 0.028
Na 0.976 0.677 0.922
La 0.329 0.671 0.015
O 0.297 0.826 0.258
O 0.988 0.841 0.099
P 0.646 0.665 0.916
O 0.963 0.164 0.587
Na 0.662 0.322 0.831
O 0.665 0.509 0.916
O 0.706 0.119 0.030
O 0.846 0.020 0.096
Ga 0.002 0.002 0.157
O 0.530 0.706 0.259
CELL_PARAMETERS angstrom
9.329 -0.007 0.026
-4.671 8.079 0.002
0.068 0.046 22.776